## Mn3CrP4O16 (GGA+U)

Data for a geometry-optimized Mn3CrP4O16 structure.

abc: 4.8632 5.9719 9.8574
angles: 90.00 90.72 90.00
Closest atoms and distances in Å follow each position.
Fractional positions:
Mn  0.0000  0.0000  0.0000  4 O 1.89-2.06
Mn  0.1310  0.5000  0.4363  4 O 1.91-2.01
Mn  0.6339  0.0000  0.5042  4 O 1.92-2.00
Cr  0.5277  0.5000  0.9440  6 O 1.96-2.11
P  0.1493  0.0000  0.3184  4 O 1.54-1.56
P  0.4748  0.0000  0.8179  4 O 1.54-1.57
P  0.6587  0.5000  0.6218  4 O 1.52-1.57
P  0.9772  0.5000  0.1231  4 O 1.51-1.59
O  0.2074  0.0000  0.1651  1 P 1.54
O  0.2858  0.5000  0.1038  1 P 1.51
O  0.2964  0.2015  0.3891  1 P 1.56
O  0.2964  0.7985  0.3891  1 P 1.56
O  0.3356  0.2043  0.8895  1 P 1.57
O  0.3356  0.7957  0.8895  1 P 1.57
O  0.3437  0.5000  0.6006  1 P 1.54
O  0.4141  0.0000  0.6645  1 P 1.54
O  0.7274  0.5000  0.7730  1 P 1.52
O  0.7914  0.0000  0.8367  1 P 1.55
O  0.8000  0.2988  0.5483  1 P 1.57
O  0.8000  0.7012  0.5483  1 P 1.57
O  0.8217  0.3016  0.0473  1 P 1.59
O  0.8217  0.6984  0.0473  1 P 1.59
O  0.8360  0.0000  0.3384  1 P 1.54
O  0.9064  0.5000  0.2740  1 P 1.53

Summary:
final energy: -179.13 eV for the cell shown
formation enthalpy at 0 K: -2.47 eV per atom
maximum piezoelectric response: 0.4 C/m²
symmetry: Pm, No. 6
crystal system: monoclinic